# CdHg3

A relaxed CdHg3 crystal (meta-GGA r2SCAN, the Materials Project).

a = 5.194 Å, b = 5.194 Å, c = 5.194 Å
α = 60.00°, β = 60.00°, γ = 60.00°
Positions (direct):
Cd: 0.000 0.000 0.000
Hg: 0.250 0.250 0.250
Hg: 0.750 0.750 0.750
Hg: 0.500 0.500 0.500

Calculated values
E_tot, eV/atom: -42.015
ΔH_f (0 K), kJ per mole of atoms: 4
Energy relative to the lowest polymorph listed for this composition, eV/atom: 0.000
Total magnetization, μB/atom: 0.00

=====

# TmMg3

A relaxed TmMg3 crystal (meta-GGA r2SCAN, the Materials Project).

a = 5.120 Å, b = 5.120 Å, c = 5.120 Å
α = 60.00°, β = 60.00°, γ = 60.00°
Positions (direct):
Tm: 0.750 0.750 0.750
Mg: 0.000 0.000 0.000
Mg: 0.250 0.250 0.250
Mg: 0.500 0.500 0.500

Calculated values
E_tot, eV/atom: -11.953
ΔH_f (0 K), kJ per mole of atoms: -4
Total magnetization, μB/atom: 0.00

=====

# V3OF11

A relaxed V3OF11 crystal (meta-GGA r2SCAN, the Materials Project).

a = 5.126 Å, b = 5.345 Å, c = 13.957 Å
α = 99.95°, β = 89.99°, γ = 90.21°
Positions (direct):
V: 0.000 0.000 0.000
V: 0.526 0.123 0.330
V: 0.009 0.319 0.667
V: 0.500 0.500 0.000
V: 0.009 0.652 0.334
V: 0.526 0.789 0.663
O: 0.703 0.534 0.642
O: 0.704 0.868 0.309
F: 0.803 0.015 0.640
F: 0.693 0.190 0.974
F: 0.300 0.143 0.692
F: 0.901 0.041 0.121
F: 0.582 0.228 0.454
F: 0.902 0.380 0.787
F: 0.400 0.140 0.215
F: 0.080 0.303 0.544
F: 0.402 0.469 0.879
F: 0.802 0.349 0.306
F: 0.805 0.687 0.974
F: 0.194 0.312 0.027
F: 0.299 0.475 0.360
F: 0.212 0.637 0.694
F: 0.585 0.545 0.122
F: 0.901 0.713 0.454
F: 0.581 0.893 0.787
F: 0.082 0.637 0.212
F: 0.402 0.809 0.548
F: 0.083 0.964 0.878
F: 0.303 0.815 0.027
F: 0.213 0.970 0.362

Calculated values
E_tot, eV/atom: -8.452
ΔH_f (0 K), kJ per mole of atoms: -284
Energy relative to the lowest polymorph listed for this composition, eV/atom: 0.002
Total magnetization, μB/atom: 0.07

=====

# Yb2AgAu

A relaxed Yb2AgAu crystal (meta-GGA r2SCAN, the Materials Project).

a = 4.981 Å, b = 4.981 Å, c = 4.981 Å
α = 60.00°, β = 60.00°, γ = 60.00°
Positions (direct):
Yb: 0.250 0.250 0.250
Yb: 0.750 0.750 0.750
Ag: 0.500 0.500 0.500
Au: 0.000 0.000 0.000

Calculated values
E_tot, eV/atom: -36.942
ΔH_f (0 K), kJ per mole of atoms: -67
Total magnetization, μB/atom: 0.00